Compound: BiH3
Source: the Materials Project
Functional: PBE
Structure: relaxed

Computed properties:
* raw total energy: -2.747 eV/atom
* space group: No. 139
* theoretical density: 8.81 Mg/m³
* crystal system: tetragonal

Geometry as extended XYZ:
```
4
Lattice="-1.768 1.768 3.197 1.768 -1.768 3.197 1.768 1.768 -3.197" Properties=species:S:1:pos:R:3 pbc="T T T"
Bi 0.000 0.000 0.000
H 1.768 0.000 1.599
H 0.000 0.000 3.197
H 0.000 1.768 1.599
```